The following is a DFT calculation (PBE) of CeYFe4 after structural relaxation.

Cell and atoms, written as CIF:
```
data_CeYFe4
_chemical_formula_sum 'Ce4 Y4 Fe16'
_symmetry_space_group_name_H-M 'F -4 3 m'
_symmetry_Int_Tables_number 216
_symmetry_space_group_name_Hall 'F -4 2 3'
_cell_length_a 7.300
_cell_length_b 7.300
_cell_length_c 7.300
_cell_angle_alpha 90.00
_cell_angle_beta 90.00
_cell_angle_gamma 90.00
loop_
_atom_site_label
_atom_site_type_symbol
_atom_site_fract_x
_atom_site_fract_y
_atom_site_fract_z
Ce1 Ce 0.000 0.000 0.000
Y1 Y 0.250 0.250 0.250
Fe1 Fe 0.126 0.126 0.626
```

Summary:
Energy relative to the elements = -0.01 eV/atom
Calculated total energy = -185.330 eV for the cell shown


The following is a DFT calculation (PBE) of CeZn2Fe after structural relaxation.

Cell and atoms, written as CIF:
```
data_CeZn2Fe
_chemical_formula_sum 'Ce1 Zn2 Fe1'
_symmetry_space_group_name_H-M 'P 4/m m m'
_symmetry_Int_Tables_number 123
_symmetry_space_group_name_Hall '-P 4 2'
_cell_length_a 3.683
_cell_length_b 3.683
_cell_length_c 5.036
_cell_angle_alpha 90.00
_cell_angle_beta 90.00
_cell_angle_gamma 90.00
loop_
_atom_site_label
_atom_site_type_symbol
_atom_site_fract_x
_atom_site_fract_y
_atom_site_fract_z
Ce1 Ce 0.000 0.000 0.000
Zn1 Zn 0.000 0.500 0.500
Fe1 Fe 0.500 0.500 0.000
```

Summary:
Energy relative to the elements = 0.00 eV/atom
Total magnetic moment = 0.0 μB per cell
Calculated total energy = -16.909 eV for the cell shown


The following is a DFT calculation (PBE) of CeGa after structural relaxation.

Cell and atoms, written as CIF:
```
data_CeGa
_chemical_formula_sum 'Ce4 Ga4'
_symmetry_space_group_name_H-M 'C m c m'
_symmetry_Int_Tables_number 63
_symmetry_space_group_name_Hall '-C 2c 2'
_cell_length_a 4.420
_cell_length_b 11.133
_cell_length_c 4.135
_cell_angle_alpha 90.00
_cell_angle_beta 90.00
_cell_angle_gamma 90.00
loop_
_atom_site_label
_atom_site_type_symbol
_atom_site_fract_x
_atom_site_fract_y
_atom_site_fract_z
Ce1 Ce 0.000 0.142 0.250
Ga1 Ga 0.000 0.428 0.250
```

Summary:
Energy relative to the elements = -0.47 eV/atom
Calculated total energy = -39.629 eV for the cell shown


The following is a DFT calculation (PBE) of CeGa3 after structural relaxation.

Cell and atoms, written as CIF:
```
data_CeGa3
_chemical_formula_sum 'Ce2 Ga6'
_symmetry_space_group_name_H-M 'P 63/m m c'
_symmetry_Int_Tables_number 194
_symmetry_space_group_name_Hall '-P 6c 2c'
_cell_length_a 6.4046
_cell_length_b 6.4046
_cell_length_c 4.5711
_cell_angle_alpha 90.00
_cell_angle_beta 90.00
_cell_angle_gamma 120.00
loop_
_atom_site_label
_atom_site_type_symbol
_atom_site_fract_x
_atom_site_fract_y
_atom_site_fract_z
Ce1 Ce 0.3333 0.6667 0.2500
Ga1 Ga 0.1455 0.2909 0.7500
```

Summary:
Energy relative to the elements = -0.55 eV/atom
Calculated total energy = -34.468 eV for the cell shown


The following is a DFT calculation (PBE) of CeGaGe after structural relaxation.

Cell and atoms, written as CIF:
```
data_CeGaGe
_chemical_formula_sum 'Ce4 Ga4 Ge4'
_symmetry_space_group_name_H-M 'I 41 m d'
_symmetry_Int_Tables_number 109
_symmetry_space_group_name_Hall 'I 4bw -2'
_cell_length_a 4.260
_cell_length_b 4.260
_cell_length_c 14.705
_cell_angle_alpha 90.00
_cell_angle_beta 90.00
_cell_angle_gamma 90.00
loop_
_atom_site_label
_atom_site_type_symbol
_atom_site_fract_x
_atom_site_fract_y
_atom_site_fract_z
Ce1 Ce 0.000 0.000 0.000
Ga1 Ga 0.000 0.000 0.584
Ge1 Ge 0.000 0.000 0.417
```

Summary:
Energy relative to the elements = -0.62 eV/atom
Total magnetic moment = 4.0 μB per cell
Calculated total energy = -61.758 eV for the cell shown


The following is a DFT calculation (PBE) of CeGaGe after structural relaxation.

Cell and atoms, written as CIF:
```
data_CeGaGe
_chemical_formula_sum 'Ce4 Ga4 Ge4'
_symmetry_space_group_name_H-M 'I m m a'
_symmetry_Int_Tables_number 74
_symmetry_space_group_name_Hall '-I 2b 2'
_cell_length_a 4.245
_cell_length_b 4.336
_cell_length_c 14.544
_cell_angle_alpha 90.00
_cell_angle_beta 90.00
_cell_angle_gamma 90.00
loop_
_atom_site_label
_atom_site_type_symbol
_atom_site_fract_x
_atom_site_fract_y
_atom_site_fract_z
Ce1 Ce 0.000 0.250 0.122
Ga1 Ga 0.000 0.250 0.710
Ge1 Ge 0.000 0.250 0.543
```

Summary:
Energy relative to the elements = -0.60 eV/atom
Total magnetic moment = 3.7 μB per cell
Calculated total energy = -61.561 eV for the cell shown


The following is a DFT calculation (PBE) of Ce5Ga2Ge after structural relaxation.

Cell and atoms, written as CIF:
```
data_Ce5Ga2Ge
_chemical_formula_sum 'Ce20 Ga8 Ge4'
_symmetry_space_group_name_H-M 'I 4/m c m'
_symmetry_Int_Tables_number 140
_symmetry_space_group_name_Hall '-I 4 2c'
_cell_length_a 8.009
_cell_length_b 8.009
_cell_length_c 12.448
_cell_angle_alpha 90.00
_cell_angle_beta 90.00
_cell_angle_gamma 90.00
loop_
_atom_site_label
_atom_site_type_symbol
_atom_site_fract_x
_atom_site_fract_y
_atom_site_fract_z
Ce1 Ce 0.000 0.000 0.000
Ce2 Ce 0.176 0.324 0.160
Ga1 Ga 0.121 0.379 0.500
Ge1 Ge 0.000 0.000 0.250
```

Summary:
Energy relative to the elements = -0.46 eV/atom
Total magnetic moment = 15.1 μB per cell
Calculated total energy = -176.213 eV for the cell shown


The following is a DFT calculation (PBE) of CeGaIr after structural relaxation.

Cell and atoms, written as CIF:
```
data_CeGaIr
_chemical_formula_sum 'Ce4 Ga4 Ir4'
_symmetry_space_group_name_H-M 'P n m a'
_symmetry_Int_Tables_number 62
_symmetry_space_group_name_Hall '-P 2ac 2n'
_cell_length_a 6.876
_cell_length_b 4.368
_cell_length_c 7.888
_cell_angle_alpha 90.00
_cell_angle_beta 90.00
_cell_angle_gamma 90.00
loop_
_atom_site_label
_atom_site_type_symbol
_atom_site_fract_x
_atom_site_fract_y
_atom_site_fract_z
Ce1 Ce 0.030 0.250 0.188
Ga1 Ga 0.150 0.250 0.569
Ir1 Ir 0.239 0.750 0.390
```

Summary:
Energy relative to the elements = -0.85 eV/atom
Calculated total energy = -81.415 eV for the cell shown